No. 1
Below is an optimized crystal structure of CuRh2O4, with properties calculated at the PBE level.

```
CuRh2O4
1.0
0.0000 4.3120 4.3120
4.3120 0.0000 4.3120
4.3120 4.3120 0.0000
Cu Rh O
2 4 8
Direct
0.1250 0.1250 0.1250 Cu
0.8750 0.8750 0.8750 Cu
0.0000 0.5000 0.5000 Rh
0.5000 0.0000 0.5000 Rh
0.5000 0.5000 0.0000 Rh
0.5000 0.5000 0.5000 Rh
0.2610 0.2610 0.2610 O
0.2610 0.2610 0.7171 O
0.2610 0.7171 0.2610 O
0.2829 0.7390 0.7390 O
0.7171 0.2610 0.2610 O
0.7390 0.2829 0.7390 O
0.7390 0.7390 0.2829 O
0.7390 0.7390 0.7390 O
```

- E_tot (eV per atom) = -6.1744

No. 2
Below is an optimized crystal structure of LiNbO3, with properties calculated at the PBE level.

```
LiNbO3
1.0
5.2500 0.0000 0.0000
-2.6194 4.9309 0.0000
-0.0063 -2.0488 21.6299
Li Nb O
10 10 30
Direct
0.0000 0.0000 0.0000 Li
0.0008 0.0014 0.7141 Li
0.2008 0.4008 0.3138 Li
0.3002 0.6012 0.6138 Li
0.3014 0.6042 0.9017 Li
0.5002 0.0016 0.2140 Li
0.6010 0.2010 0.5140 Li
0.6981 0.3953 0.8142 Li
0.8004 0.6005 0.1148 Li
0.8999 0.8009 0.4140 Li
0.0114 0.0149 0.8593 Nb
0.1157 0.2299 0.1584 Nb
0.2161 0.4332 0.4592 Nb
0.3135 0.6272 0.7583 Nb
0.4116 0.8193 0.0597 Nb
0.5169 0.0330 0.3591 Nb
0.6148 0.2310 0.6589 Nb
0.6994 0.4064 0.9610 Nb
0.8150 0.6317 0.2590 Nb
0.9169 0.8328 0.5591 Nb
0.0176 0.3978 0.6813 O
0.0185 0.2793 0.8058 O
0.0796 0.5505 0.5309 O
0.0806 0.7986 0.7806 O
0.1633 0.0787 0.5036 O
0.1710 0.9503 0.6308 O
0.2157 0.6791 0.4036 O
0.2175 0.7997 0.2817 O
0.2814 0.9516 0.1307 O
0.2817 0.2003 0.3818 O
0.3683 0.4868 0.1056 O
0.3700 0.3494 0.2303 O
0.4161 0.0810 0.0051 O
0.4160 0.2199 0.8811 O
0.4788 0.3486 0.7303 O
0.5007 0.6157 0.9817 O
0.5629 0.8777 0.7036 O
0.5662 0.7434 0.8301 O
0.6157 0.4787 0.6035 O
0.6184 0.6002 0.4818 O
0.6796 0.7502 0.3307 O
0.6816 0.0002 0.5815 O
0.7630 0.2787 0.3035 O
0.7708 0.1505 0.4309 O
0.8161 0.8790 0.2036 O
0.8167 0.9952 0.0818 O
0.8818 0.3986 0.1814 O
0.8981 0.1648 0.9309 O
0.9572 0.6772 0.9050 O
0.9702 0.5723 0.0306 O
```

- E_tot (eV per atom) = -7.8481

No. 3
Below is an optimized crystal structure of Ba2CuSeO2, with properties calculated at the PBE level.

```
Ba2CuSeO2
1.0
4.0527 0.0000 0.0000
0.0000 4.0527 0.0000
0.0000 0.0000 7.5618
Ba Cu Se O
2 1 1 2
Direct
0.0000 0.0000 0.2488 Ba
0.0000 0.0000 0.7512 Ba
0.5000 0.5000 0.0000 Cu
0.5000 0.5000 0.5000 Se
0.0000 0.5000 0.0000 O
0.5000 0.0000 0.0000 O
```

- E_tot (eV per atom) = -5.3023